Density functional theory data (GGA-PBE) for CaH2C2O4 after structural relaxation.

Unit cell a=6.383 b=13.725 c=10.268 alpha=90.00 beta=90.00 gamma=90.00
Fractional coordinates of all 72 atoms:
Ca 0.030 0.107 0.135
Ca 0.030 0.393 0.635
Ca 0.470 0.607 0.135
Ca 0.470 0.893 0.635
Ca 0.530 0.107 0.365
Ca 0.530 0.393 0.865
Ca 0.970 0.607 0.365
Ca 0.970 0.893 0.865
H 0.026 0.709 0.656
H 0.026 0.791 0.156
H 0.037 0.106 0.603
H 0.037 0.394 0.103
H 0.463 0.606 0.603
H 0.463 0.894 0.103
H 0.474 0.209 0.656
H 0.474 0.291 0.156
H 0.526 0.709 0.844
H 0.526 0.791 0.344
H 0.537 0.106 0.897
H 0.537 0.394 0.397
H 0.963 0.606 0.897
H 0.963 0.894 0.397
H 0.974 0.209 0.844
H 0.974 0.291 0.344
C 0.131 0.235 0.875
C 0.131 0.265 0.375
C 0.157 0.048 0.613
C 0.157 0.452 0.113
C 0.343 0.548 0.613
C 0.343 0.952 0.113
C 0.369 0.735 0.875
C 0.369 0.765 0.375
C 0.631 0.235 0.625
C 0.631 0.265 0.125
C 0.657 0.048 0.887
C 0.657 0.452 0.387
C 0.843 0.548 0.887
C 0.843 0.952 0.387
C 0.869 0.735 0.625
C 0.869 0.765 0.125
O 0.134 0.516 0.201
O 0.134 0.984 0.701
O 0.187 0.548 0.536
O 0.187 0.952 0.036
O 0.211 0.200 0.977
O 0.211 0.300 0.477
O 0.216 0.200 0.302
O 0.216 0.300 0.802
O 0.284 0.700 0.302
O 0.284 0.800 0.802
O 0.289 0.700 0.977
O 0.289 0.800 0.477
O 0.313 0.048 0.536
O 0.313 0.452 0.036
O 0.366 0.016 0.201
O 0.366 0.484 0.701
O 0.634 0.516 0.299
O 0.634 0.984 0.799
O 0.687 0.548 0.964
O 0.687 0.952 0.464
O 0.711 0.200 0.523
O 0.711 0.300 0.023
O 0.716 0.200 0.198
O 0.716 0.300 0.698
O 0.784 0.700 0.198
O 0.784 0.800 0.698
O 0.789 0.700 0.523
O 0.789 0.800 0.023
O 0.813 0.048 0.964
O 0.813 0.452 0.464
O 0.866 0.016 0.299
O 0.866 0.484 0.799

Values from the calculation:
Theoretical density = 1.9 g/cm3
Volume = 899.45 Å³ per cell
Space group = Pbca, No. 61
E_tot = -6.7135 eV/atom
Energy of formation from the pure elements = -1.7921 eV/atom
Distance to the lowest polymorph of the same formula = 0 meV per atom